This record from the Materials Project describes a relaxed K3LuP2O8 crystal. The functional is PBE.

Cell: 9.687 9.687 7.849 Å, 90.00 90.00 120.00°
Positions (direct):
K1 0.000 0.000 0.000
K2 0.001 0.334 0.244
K3 0.333 0.667 0.005
K4 0.334 0.334 0.756
K5 0.334 0.999 0.244
K6 0.666 0.001 0.756
K7 0.666 0.666 0.244
K8 0.667 0.333 0.995
K9 0.999 0.666 0.756
Lu1 0.000 0.000 0.500
Lu2 0.333 0.667 0.533
Lu3 0.667 0.333 0.467
P1 0.013 0.672 0.272
P2 0.328 0.341 0.272
P3 0.341 0.013 0.728
P4 0.659 0.987 0.272
P5 0.672 0.659 0.728
P6 0.987 0.328 0.728
O1 0.007 0.185 0.666
O2 0.070 0.700 0.086
O3 0.141 0.663 0.385
O4 0.150 0.485 0.707
O5 0.178 0.993 0.666
O6 0.185 0.178 0.334
O7 0.300 0.370 0.086
O8 0.335 0.850 0.707
O9 0.337 0.479 0.385
O10 0.370 0.070 0.914
O11 0.479 0.141 0.615
O12 0.485 0.335 0.293
O13 0.515 0.665 0.707
O14 0.521 0.859 0.385
O15 0.630 0.930 0.086
O16 0.663 0.521 0.615
O17 0.665 0.150 0.293
O18 0.700 0.630 0.914
O19 0.815 0.822 0.666
O20 0.822 0.007 0.334
O21 0.850 0.515 0.293
O22 0.859 0.337 0.615
O23 0.930 0.300 0.914
O24 0.993 0.815 0.334

Calculated values
- offset from the most stable computed form (meV per atom) = 0
- calculated formation energy (eV per atom) = -3.0064
- total magnetization (μB/f.u.) = 0.0

=====

This record from the Materials Project describes a relaxed KLuS2O10 crystal. The functional is PBE.

Cell: 10.862 8.174 10.001 Å, 90.00 98.74 90.00°
Positions (direct):
K1 0.134 0.232 0.086
K2 0.134 0.268 0.586
K3 0.866 0.732 0.414
K4 0.866 0.768 0.914
Lu1 0.318 0.735 0.033
Lu2 0.318 0.765 0.533
Lu3 0.682 0.235 0.467
Lu4 0.682 0.265 0.967
S1 0.117 0.727 0.209
S2 0.117 0.773 0.709
S3 0.469 0.148 0.689
S4 0.469 0.352 0.189
S5 0.531 0.648 0.811
S6 0.531 0.852 0.311
S7 0.883 0.227 0.291
S8 0.883 0.273 0.791
O1 0.018 0.211 0.319
O2 0.018 0.289 0.819
O3 0.158 0.727 0.360
O4 0.158 0.773 0.860
O5 0.163 0.621 0.648
O6 0.163 0.879 0.148
O7 0.183 0.589 0.149
O8 0.183 0.911 0.649
O9 0.289 0.023 0.446
O10 0.289 0.477 0.946
O11 0.300 0.007 0.969
O12 0.300 0.493 0.469
O13 0.359 0.228 0.721
O14 0.359 0.272 0.221
O15 0.436 0.619 0.688
O16 0.436 0.881 0.188
O17 0.438 0.520 0.128
O18 0.438 0.980 0.628
O19 0.469 0.744 0.909
O20 0.469 0.756 0.409
O21 0.531 0.244 0.591
O22 0.531 0.256 0.091
O23 0.562 0.020 0.372
O24 0.562 0.480 0.872
O25 0.564 0.119 0.812
O26 0.564 0.381 0.312
O27 0.641 0.728 0.779
O28 0.641 0.772 0.279
O29 0.700 0.507 0.531
O30 0.700 0.993 0.031
O31 0.711 0.523 0.054
O32 0.711 0.977 0.554
O33 0.817 0.089 0.351
O34 0.817 0.411 0.851
O35 0.837 0.121 0.852
O36 0.837 0.379 0.352
O37 0.842 0.227 0.140
O38 0.842 0.273 0.640
O39 0.982 0.711 0.181
O40 0.982 0.789 0.681

Calculated values
- calculated formation energy (eV per atom) = -1.8969
- total magnetization (μB/f.u.) = 4.0

=====

This record from the Materials Project describes a relaxed K2LuSbO7 crystal. The functional is PBE.

Cell: 8.067 8.067 8.067 Å, 121.05 90.57 118.31°
Positions (direct):
K1 0.000 0.000 0.000
K2 0.500 0.000 0.000
K3 0.500 0.000 0.500
K4 0.500 0.500 0.500
Lu1 0.000 0.000 0.500
Lu2 0.000 0.500 0.000
Sb1 0.000 0.500 0.500
Sb2 0.500 0.500 0.000
O1 0.040 0.249 0.435
O2 0.040 0.606 0.792
O3 0.108 0.858 0.250
O4 0.293 0.707 0.586
O5 0.314 0.249 0.708
O6 0.314 0.606 0.065
O7 0.380 0.293 0.086
O8 0.620 0.707 0.914
O9 0.686 0.394 0.935
O10 0.686 0.751 0.292
O11 0.707 0.293 0.414
O12 0.892 0.142 0.750
O13 0.960 0.394 0.208
O14 0.960 0.751 0.565

Calculated values
- calculated formation energy (eV per atom) = -1.8733
- total magnetization (μB/f.u.) = 3.0

=====

This record from the Materials Project describes a relaxed K2LuSi4O11 crystal. The functional is PBE.

Cell: 11.685 8.625 11.830 Å, 90.00 111.99 90.00°
Positions (direct):
K1 0.011 0.250 0.025
K2 0.088 0.750 0.581
K3 0.444 0.250 0.059
K4 0.471 0.750 0.538
K5 0.529 0.250 0.462
K6 0.556 0.750 0.941
K7 0.912 0.250 0.419
K8 0.989 0.750 0.975
Lu1 0.289 0.503 0.208
Lu2 0.289 0.997 0.208
Lu3 0.711 0.003 0.792
Lu4 0.711 0.497 0.792
Si1 0.012 0.571 0.257
Si2 0.012 0.929 0.257
Si3 0.220 0.071 0.466
Si4 0.220 0.429 0.466
Si5 0.248 0.568 0.884
Si6 0.248 0.932 0.884
Si7 0.392 0.063 0.732
Si8 0.392 0.437 0.732
Si9 0.608 0.563 0.268
Si10 0.608 0.937 0.268
Si11 0.752 0.068 0.116
Si12 0.752 0.432 0.116
Si13 0.780 0.571 0.534
Si14 0.780 0.929 0.534
Si15 0.988 0.071 0.743
Si16 0.988 0.429 0.743
O1 0.041 0.250 0.749
O2 0.090 0.544 0.173
O3 0.090 0.956 0.173
O4 0.093 0.534 0.403
O5 0.093 0.966 0.403
O6 0.108 0.546 0.778
O7 0.108 0.954 0.778
O8 0.170 0.250 0.470
O9 0.254 0.527 0.017
O10 0.254 0.973 0.017
O11 0.257 0.250 0.168
O12 0.277 0.003 0.608
O13 0.277 0.497 0.608
O14 0.286 0.750 0.867
O15 0.315 0.056 0.399
O16 0.315 0.444 0.399
O17 0.325 0.750 0.259
O18 0.348 0.037 0.849
O19 0.348 0.463 0.849
O20 0.409 0.250 0.720
O21 0.485 0.032 0.250
O22 0.485 0.468 0.250
O23 0.515 0.532 0.750
O24 0.515 0.968 0.750
O25 0.591 0.750 0.280
O26 0.652 0.537 0.151
O27 0.652 0.963 0.151
O28 0.675 0.250 0.741
O29 0.685 0.556 0.601
O30 0.685 0.944 0.601
O31 0.714 0.250 0.133
O32 0.723 0.503 0.392
O33 0.723 0.997 0.392
O34 0.743 0.750 0.832
O35 0.746 0.027 0.983
O36 0.746 0.473 0.983
O37 0.830 0.750 0.530
O38 0.892 0.046 0.222
O39 0.892 0.454 0.222
O40 0.907 0.034 0.597
O41 0.907 0.466 0.597
O42 0.910 0.044 0.827
O43 0.910 0.456 0.827
O44 0.959 0.750 0.251

Calculated values
- calculated formation energy (eV per atom) = -3.1325
- total magnetization (μB/f.u.) = 1.0